## RbAlAs2O7 (r2SCAN)

Data for a relaxed RbAlAs2O7 crystal.

Its space group is P-1 (2). The value obtained for the formation energy is -1.983 eV/atom. The value obtained for the total magnetization is 0.000 μB/atom.

Cell lengths 6.263, 6.359, 8.255 Å; angles 96.56, 104.11, 102.58 degrees
Fractional positions:
Rb  0.000  0.000  0.000
Rb  0.000  0.000  0.500
Al  0.377  0.687  0.229
Al  0.623  0.313  0.771
As  0.176  0.472  0.814
As  0.492  0.243  0.336
As  0.508  0.757  0.664
As  0.824  0.528  0.186
O  0.092  0.678  0.273
O  0.223  0.639  0.660
O  0.224  0.647  0.993
O  0.327  0.380  0.221
O  0.336  0.292  0.815
O  0.421  0.989  0.228
O  0.469  0.255  0.534
O  0.531  0.745  0.466
O  0.579  0.011  0.772
O  0.664  0.708  0.185
O  0.673  0.620  0.779
O  0.776  0.353  0.007
O  0.777  0.361  0.340
O  0.908  0.322  0.727